Density functional theory data (PBE) for a geometry-optimized Li3Cu3P2O8 structure.

* largest piezoelectric modulus: 6.32 C/m2
* energy relative to the lowest polymorph listed for this composition: 0.000 eV per atom
* symmetry: P1, No. 1
* magnetic moment: 0.000 μB per atom
* energy of formation from the pure elements: -2.077 eV per atom

Cell and atoms, written as POSCAR:
```
Li3Cu3P2O8
1.0
5.1209 0.0000 0.0000
0.0611 5.4579 0.0000
0.0802 0.2009 6.2311
O P Li Cu
8 2 3 3
Direct
0.5956 0.9091 0.4834
0.5896 0.2894 0.7084
0.1935 0.1869 0.4897
0.1062 0.1083 0.0142
0.1234 0.7069 0.8154
0.1055 0.6894 0.2140
0.6067 0.3230 0.2898
0.6995 0.8358 0.0082
0.4960 0.1795 0.4906
0.0028 0.8414 0.0132
0.4996 0.6751 0.2534
0.9958 0.3320 0.2497
0.5004 0.1566 0.0023
0.0110 0.7642 0.5153
0.5450 0.6525 0.7225
0.9867 0.3498 0.7299
```